# 1
A relaxed structure of KBaMg14, computed with PBE-GGA.

Energy = -1.4557 eV/atom
Space-group type = No. 187
Mass density = 2.0 Mg/m³
ΔE_f = 0.134 eV/atom

Structure (POSCAR):
```
KBaMg14
1.0
6.8906 0.0000 0.0000
-3.4453 5.9674 0.0000
0.0000 0.0000 10.5830
Mg Ba K
14 1 1
direct
0.3455 0.6910 0.8772
0.6652 0.3304 0.1250
0.8090 0.1545 0.3728
0.1775 0.8388 0.6250
0.3455 0.1545 0.8772
0.8090 0.1545 0.8772
0.8333 0.6667 0.8738
0.3455 0.1545 0.3728
0.3455 0.6910 0.3728
0.6652 0.8348 0.1250
0.8333 0.6667 0.3762
0.6612 0.8388 0.6250
0.6612 0.3225 0.6250
0.1696 0.8348 0.1250
0.1667 0.3333 0.6250
0.1667 0.3333 0.1250
```

# 2
A relaxed structure of KBaMg6, computed with PBE-GGA.

Offset from the most stable computed form = 0.000 eV/atom
Energy = -1.4201 eV/atom
Mass density = 2.1 Mg/m³
ΔE_f = 0.159 eV/atom

Structure (POSCAR):
```
KBaMg6
1.0
5.2358 0.0000 0.0000
0.0000 6.9092 0.0000
0.0000 0.0000 14.1493
Mg K Ba
12 2 2
direct
0.0000 0.0000 0.8563
0.0000 0.2518 0.0437
0.5000 0.2431 0.9233
0.5000 0.2569 0.4233
0.0000 0.7518 0.5437
0.0000 0.7482 0.0437
0.0000 0.2482 0.5437
0.0000 0.5000 0.3563
0.5000 0.7569 0.9233
0.0000 0.0000 0.3574
0.0000 0.5000 0.8574
0.5000 0.7431 0.4233
0.5000 0.5000 0.6781
0.5000 0.0000 0.1781
0.5000 0.0000 0.6741
0.5000 0.5000 0.1741
```

# 3
A relaxed structure of KBaN3, computed with PBE-GGA.

Energy = -4.0337 eV/atom
Space-group type = No. 22
Mass density = 2.4 Mg/m³
ΔE_f = 1.357 eV/atom

Structure (POSCAR):
```
KBaN3
1.0
-4.4852 -9.6124 9.2303
-8.7409 -3.8117 9.3318
-3.0380 -5.5656 -3.4007
Ba N K
4 12 4
direct
0.8295 0.8295 0.1705
0.1705 0.1705 0.8295
0.7500 0.7500 0.7500
0.0000 0.0000 0.0000
0.5181 0.9819 0.5181
0.1474 0.6877 0.9011
0.7640 0.2360 0.7640
0.3966 0.9590 0.0482
0.2637 0.9011 0.6877
0.9819 0.5181 0.9819
0.9590 0.3966 0.5962
0.6877 0.1474 0.2637
0.0482 0.5962 0.3966
0.5962 0.0482 0.9590
0.9011 0.2637 0.1474
0.2360 0.7640 0.2360
0.4092 0.4092 0.0908
0.0908 0.0908 0.4092
0.2500 0.2500 0.2500
0.5000 0.5000 0.5000
```

# 4
A relaxed structure of K2BaS12O12, computed with PBE-GGA.

Energy = -5.3928 eV/atom
Space-group type = No. 13
Mass density = 2.3 Mg/m³
ΔE_f = -1.507 eV/atom

Structure (POSCAR):
```
K2BaS12O12
1.0
-4.2563 9.4370 -4.0753
-4.6058 -4.9034 -6.5441
-10.8247 -3.2991 3.6658
S O K Ba
24 24 4 2
direct
0.3020 0.0938 0.7509
0.7150 0.3326 0.3322
0.5837 0.1750 0.3479
0.5837 0.3250 0.6521
0.7150 0.1674 0.6678
0.6525 0.9533 0.3975
0.3475 0.0467 0.6025
0.7264 0.4556 0.1369
0.8920 0.9223 0.2516
0.1080 0.0777 0.7484
0.2736 0.5444 0.8631
0.7264 0.0444 0.8631
0.2736 0.9556 0.1369
0.6980 0.9062 0.2491
0.4163 0.6750 0.3479
0.2850 0.8326 0.3322
0.3475 0.4533 0.3975
0.2850 0.6674 0.6678
0.6980 0.5938 0.7509
0.8920 0.5777 0.7484
0.6525 0.5467 0.6025
0.1080 0.4223 0.2516
0.4163 0.8250 0.6521
0.3020 0.4062 0.2491
0.0783 0.9268 0.7450
0.9330 0.7941 0.3587
0.2298 0.6533 0.9161
0.2298 0.8467 0.0839
0.0767 0.4136 0.1336
0.0767 0.0864 0.8664
0.6035 0.9931 0.9019
0.9330 0.7059 0.6413
0.8113 0.9225 0.8690
0.0783 0.5732 0.2550
0.9217 0.0732 0.2550
0.3965 0.0069 0.0981
0.7702 0.1533 0.9161
0.7702 0.3467 0.0839
0.3965 0.4931 0.9019
0.0670 0.2941 0.3587
0.9233 0.9136 0.1336
0.9233 0.5864 0.8664
0.6035 0.5069 0.0981
0.1887 0.4225 0.8690
0.0670 0.2059 0.6413
0.8113 0.5775 0.1310
0.9217 0.4268 0.7450
0.1887 0.0775 0.1310
0.4482 0.7500 0.0000
0.0000 0.0000 0.5000
0.0000 0.5000 0.5000
0.5518 0.2500 0.0000
0.9868 0.2500 0.0000
0.0132 0.7500 0.0000
```

# 5
A relaxed structure of K2Ba7Si16O40, computed with PBE-GGA.

Energy = -7.5004 eV/atom
Space-group type = No. 12
Mass density = 3.4 Mg/m³
ΔE_f = -3.302 eV/atom

Structure (POSCAR):
```
K2Ba7Si16O40
1.0
0.0000 7.8285 0.0000
0.0242 0.0000 8.3675
15.9757 3.9142 -2.9368
O Si K Ba
40 16 2 7
direct
0.8778 0.4372 0.6523
0.3396 0.7988 0.3208
0.0126 0.8864 0.4069
0.9874 0.1136 0.5931
0.0584 0.3596 0.8832
0.5360 0.2572 0.3665
0.8770 0.9110 0.8313
0.0975 0.2572 0.3665
0.1943 0.5551 0.6114
0.2272 0.4843 0.1330
0.1222 0.5628 0.3477
0.3602 0.5157 0.8670
0.4545 0.0302 0.0909
0.5301 0.5628 0.3477
0.0755 0.7580 0.2455
0.6640 0.7764 0.0894
0.4699 0.4372 0.6523
0.5455 0.9698 0.9091
0.2166 0.0000 0.0000
0.2466 0.7764 0.0894
0.7534 0.2236 0.9106
0.2917 0.9110 0.8313
0.1230 0.0890 0.1687
0.3360 0.2236 0.9106
0.4195 0.1136 0.5931
0.7083 0.0890 0.1687
0.5000 0.5000 0.5000
0.0000 0.5000 0.5000
0.9416 0.6404 0.1168
0.6604 0.2012 0.6792
0.6790 0.7580 0.2455
0.9025 0.7428 0.6335
0.7834 0.0000 0.0000
0.3210 0.2420 0.7545
0.6398 0.4843 0.1330
0.5805 0.8864 0.4069
0.8057 0.4449 0.3886
0.9245 0.2420 0.7545
0.4640 0.7428 0.6335
0.7728 0.5157 0.8670
0.1260 0.6568 0.1488
0.4653 0.2462 0.6649
0.0069 0.4348 0.4015
0.2511 0.9766 0.0919
0.7252 0.6568 0.1488
0.6570 0.9766 0.0919
0.5915 0.4348 0.4015
0.1302 0.7538 0.3351
0.4085 0.5652 0.5985
0.7489 0.0234 0.9081
0.8698 0.2462 0.6649
0.5347 0.7538 0.3351
0.8740 0.3432 0.8512
0.3430 0.0234 0.9081
0.2748 0.3432 0.8512
0.9931 0.5652 0.5985
0.0390 0.7251 0.9219
0.9610 0.2749 0.0781
0.7298 0.8979 0.5405
0.6141 0.6901 0.7718
0.3859 0.3099 0.2282
0.1484 0.9401 0.7031
0.8516 0.0599 0.2969
0.2702 0.1021 0.4595
0.5000 0.5000 0.0000
```

# 6
A relaxed structure of K2Ba5Si12O30, computed with PBE-GGA.

Energy = -7.4581 eV/atom
Space-group type = No. 5
Mass density = 3.3 Mg/m³
ΔE_f = -3.280 eV/atom

Structure (POSCAR):
```
K2Ba5Si12O30
1.0
-2.6059 2.7555 12.1242
2.7067 -3.0175 12.0395
6.1612 5.6651 0.3272
Si O Ba K
12 30 5 2
direct
0.6980 0.1020 0.6136
0.1007 0.6984 0.6133
0.9286 0.5232 0.3310
0.3016 0.8993 0.3867
0.0601 0.4858 0.6815
0.4768 0.0714 0.6690
0.5142 0.9399 0.3185
0.3577 0.7639 0.0514
0.6422 0.2366 0.9486
0.8980 0.3020 0.3864
0.7634 0.3578 0.0514
0.2361 0.6423 0.9486
0.6185 0.2060 0.4458
0.9018 0.3202 0.9576
0.4903 0.0199 0.4862
0.3650 0.9644 0.3156
0.0978 0.6796 0.0420
0.4816 0.0469 0.1710
0.3498 0.7707 0.2503
0.7700 0.3490 0.2503
0.3823 0.7936 0.5538
0.0483 0.4860 0.1972
0.9531 0.5184 0.8290
0.6798 0.0982 0.0424
0.7136 0.7235 0.3099
0.4398 0.4401 0.0003
0.7940 0.3815 0.5542
0.5140 0.9517 0.8028
0.0356 0.6350 0.6844
0.6510 0.2300 0.7497
0.0804 0.0810 0.3929
0.9190 0.9196 0.6071
0.3204 0.9022 0.9580
0.9801 0.5097 0.5138
0.5599 0.5602 0.9997
0.2180 0.7820 0.0000
0.2293 0.6502 0.7497
0.2064 0.6177 0.4462
0.6264 0.0455 0.6855
0.7822 0.2178 0.0000
0.2765 0.2864 0.6901
0.9545 0.3736 0.3145
0.3540 0.3495 0.2410
0.8033 0.8052 0.9954
0.6505 0.6460 0.7590
0.1948 0.1967 0.0046
0.4996 0.5004 0.5000
0.0511 0.0505 0.7474
0.9495 0.9489 0.2526
```

# 7
A relaxed structure of K4BaTa6Si4O26, computed with PBE-GGA.

Energy = -8.3663 eV/atom
Space-group type = No. 38
Mass density = 5.5 Mg/m³
ΔE_f = -3.244 eV/atom

Structure (POSCAR):
```
K4BaTa6Si4O26
1.0
-3.3975 0.9207 8.4642
-5.6021 -2.1866 -6.9187
1.3081 -7.6435 1.3565
O Ta Ba K Si
26 6 1 4 4
direct
0.2684 0.9958 0.0000
0.1736 0.1736 0.2400
0.0008 0.8238 0.7625
0.6936 0.5143 0.2776
0.8238 0.0008 0.2375
0.8173 0.3054 0.2697
0.8238 0.0008 0.7625
0.3054 0.8173 0.7303
0.3353 0.6664 0.0000
0.4854 0.1837 0.7241
0.7685 0.7685 0.5000
0.4854 0.1837 0.2759
0.1736 0.1736 0.7600
0.8173 0.3054 0.7303
0.1837 0.4854 0.2759
0.0041 0.2362 0.5000
0.3054 0.8173 0.2697
0.6664 0.3353 0.0000
0.5143 0.6936 0.2776
0.0008 0.8238 0.2375
0.1837 0.4854 0.7241
0.5143 0.6936 0.7224
0.2362 0.0041 0.5000
0.9958 0.2684 0.0000
0.7371 0.7371 0.0000
0.6936 0.5143 0.7224
0.9992 0.2381 0.7514
0.2381 0.9992 0.2486
0.2381 0.9992 0.7514
0.7639 0.7639 0.2502
0.7639 0.7639 0.7498
0.9992 0.2381 0.2486
0.3969 0.3969 0.5000
0.5948 0.9993 0.5000
0.6108 0.0010 0.0000
0.0010 0.6108 0.0000
0.9993 0.5948 0.5000
0.3347 0.6638 0.7923
0.6638 0.3347 0.2077
0.6638 0.3347 0.7923
0.3347 0.6638 0.2077
```

# 8
A relaxed structure of KBaYSi2O7, computed with PBE-GGA.

Energy = -7.5646 eV/atom
Space-group type = No. 14
Mass density = 3.9 Mg/m³
ΔE_f = -3.384 eV/atom

Structure (POSCAR):
```
KBaYSi2O7
1.0
5.7873 0.0000 0.0000
0.0000 9.8855 0.0000
0.0000 6.5386 12.8353
O Si Y Ba K
28 8 4 4 4
direct
0.4650 0.7011 0.9079
0.5007 0.2581 0.3491
0.7031 0.8219 0.2637
0.2969 0.1781 0.7363
0.2031 0.1781 0.2363
0.9616 0.7365 0.6269
0.2603 0.9912 0.4355
0.4616 0.2635 0.8731
0.0384 0.2635 0.3731
0.7397 0.0088 0.5645
0.0350 0.7011 0.4079
0.5350 0.2989 0.0921
0.2397 0.9912 0.9355
0.5384 0.7365 0.1269
0.5805 0.6768 0.4606
0.9650 0.2989 0.5921
0.2423 0.4804 0.6380
0.7577 0.5196 0.3620
0.2577 0.4804 0.1380
0.9195 0.6768 0.9606
0.0007 0.7419 0.1509
0.7603 0.0088 0.0645
0.4195 0.3232 0.5394
0.9993 0.2581 0.8491
0.7969 0.8219 0.7637
0.0805 0.3232 0.0394
0.4993 0.7419 0.6509
0.7423 0.5196 0.8620
0.7717 0.6735 0.3786
0.2717 0.3265 0.1214
0.7550 0.8289 0.1461
0.7450 0.8289 0.6461
0.2283 0.3265 0.6214
0.7283 0.6735 0.8786
0.2450 0.1711 0.8539
0.2550 0.1711 0.3539
0.2595 0.7395 0.5212
0.7405 0.2605 0.4788
0.2405 0.7395 0.0212
0.7595 0.2605 0.9788
0.2310 0.5349 0.8283
0.7310 0.4652 0.6717
0.2690 0.5349 0.3283
0.7690 0.4652 0.1717
0.2639 0.9935 0.1383
0.7639 0.0065 0.3617
0.7361 0.0065 0.8617
0.2361 0.9935 0.6383
```

Q: mass density of number 5 (K2Ba7Si16O40)?
A: 3.4 Mg/m³

Q: Among the records above, which one has the lowest ΔE_f?
A: KBaYSi2O7

Q: Look up the energy of the seventh one.
A: -8.3663 eV/atom

Q: Which value of ΔE_f does entry 5 give?
A: -3.302 eV/atom